Run P
Below is a relaxed structure of Ce5Mg, with properties calculated at the PBE level.

```
6
Lattice="5.933 0.000 0.000 0.000 1.705 8.913 0.000 -1.705 8.913" Properties=species:S:1:pos:R:3 pbc="T T T"
Ce 0.000 0.000 0.000
Ce 0.000 0.000 5.759
Ce 0.000 0.000 11.802
Ce 2.966 0.000 9.547
Ce 2.966 0.000 15.751
Mg 2.966 0.000 3.796
```



Run Q
Below is a relaxed structure of Ce5Mg, with properties calculated at the PBE level.

```
6
Lattice="5.786 0.000 0.000 -2.893 5.011 0.000 0.000 0.000 5.498" Properties=species:S:1:pos:R:3 pbc="T T T"
Ce -1.000 1.731 0.000
Ce 0.000 3.341 2.749
Ce 1.999 0.000 0.000
Ce 1.893 3.279 0.000
Ce 2.893 1.670 2.749
Mg 0.000 0.000 2.749
```



Relative to the most stable one, in meV/atom, the structures come out at run P 42; run Q 0.



Run P
Below is a relaxed structure of TiCrCuS4, with properties calculated at the PBE level.

```
28
Lattice="3.431 0.000 0.000 0.000 12.389 0.000 0.000 0.000 11.094" Properties=species:S:1:pos:R:3 pbc="T T T"
Ti 0.000 1.632 0.000
Ti 0.000 4.095 6.060
Ti 0.000 8.295 0.513
Ti 0.000 10.757 5.547
Cr 1.716 2.076 4.039
Cr 1.716 4.577 10.013
Cr 1.716 7.812 4.466
Cr 1.716 10.313 9.586
Cu 0.000 0.920 7.936
Cu 0.000 11.470 2.389
Cu 1.716 5.123 1.972
Cu 1.716 7.266 7.519
S 0.000 0.490 4.310
S 0.000 3.746 3.704
S 0.000 3.957 0.559
S 0.000 5.142 8.485
S 0.000 7.247 2.937
S 0.000 8.433 6.107
S 0.000 8.643 9.251
S 0.000 11.900 9.857
S 1.716 1.123 1.658
S 1.716 2.285 9.461
S 1.716 2.363 6.404
S 1.716 5.734 5.740
S 1.716 6.655 0.193
S 1.716 10.027 0.857
S 1.716 10.104 3.914
S 1.716 11.267 7.205
```



Run Q
Below is a relaxed structure of TiCrCuS4, with properties calculated at the PBE level.

```
28
Lattice="5.720 0.000 0.000 -0.079 6.956 0.000 -0.042 -0.047 12.013" Properties=species:S:1:pos:R:3 pbc="T T T"
Ti 0.000 0.000 0.000
Ti 0.057 1.625 9.045
Ti 2.799 3.454 6.007
Ti 5.542 5.284 2.968
Cr -0.040 3.478 0.000
Cr 2.757 1.793 2.967
Cr 2.839 -0.023 6.007
Cr 2.842 5.116 9.046
Cu 0.567 1.772 4.940
Cu 2.158 1.660 10.957
Cu 3.441 5.249 1.056
Cu 5.032 5.137 7.073
S 1.227 5.212 0.990
S 1.260 3.478 9.983
S 1.348 1.767 1.038
S 1.261 6.790 9.960
S 1.407 1.671 7.038
S 1.473 3.569 3.960
S 1.471 6.930 3.964
S 1.533 5.194 7.054
S 4.066 1.715 4.959
S 4.127 -0.021 8.049
S 4.125 3.340 8.053
S 4.192 5.238 4.975
S 4.338 0.118 2.053
S 4.250 5.142 10.975
S 4.338 3.431 2.030
S 4.371 1.697 11.023
```



Relative to the most stable one, in meV/atom, the structures come out at run P 140; run Q 0.